The following is a DFT calculation (PBE) of RbInH8S2O12 after structural relaxation.

The calculation puts the size of the total moment at 0.00 μB/cell. As for the space-group type: No. 4. As for the calculated volume: 11.303 Å³ per atom. The total energy is -5.42 eV/atom. The value obtained for the energy relative to the elements is -1.65 eV/atom.

Cell: 9.309 10.854 10.978 Å, 90.00 90.00 101.98°
Positions (direct):
1 H 0.215 0.578 0.608
2 H 0.436 0.674 0.279
3 H 0.317 0.349 0.674
4 H 0.937 0.670 0.224
5 H 0.687 0.895 0.070
6 H 0.313 0.105 0.570
7 H 0.854 0.904 0.022
8 H 0.785 0.422 0.108
9 H 0.569 0.334 0.183
10 H 0.713 0.584 0.294
11 H 0.065 0.592 0.233
12 H 0.821 0.366 0.232
13 H 0.451 0.599 0.396
14 H 0.935 0.408 0.733
15 H 0.939 0.678 0.621
16 H 0.061 0.322 0.121
17 H 0.063 0.330 0.724
18 H 0.146 0.096 0.522
19 H 0.934 0.590 0.512
20 H 0.645 0.102 0.375
21 H 0.179 0.634 0.732
22 H 0.683 0.651 0.174
23 H 0.066 0.410 0.012
24 H 0.437 0.408 0.171
25 H 0.564 0.326 0.779
26 H 0.287 0.416 0.794
27 H 0.431 0.666 0.683
28 H 0.812 0.110 0.326
29 H 0.549 0.401 0.896
30 H 0.188 0.890 0.826
31 H 0.355 0.898 0.875
32 H 0.563 0.592 0.671
33 O 0.568 0.320 0.868
34 O 0.886 0.507 0.988
35 O 0.432 0.680 0.368
36 O 0.927 0.676 0.533
37 O 0.464 0.582 0.118
38 O 0.238 0.622 0.026
39 O 0.392 0.507 0.913
40 O 0.608 0.493 0.413
41 O 0.536 0.418 0.618
42 O 0.261 0.376 0.368
43 O 0.528 0.266 0.453
44 O 0.749 0.109 0.400
45 O 0.409 0.089 0.697
46 O 0.824 0.877 0.704
47 O 0.965 0.577 0.783
48 O 0.467 0.059 0.294
49 O 0.967 0.059 0.602
50 O 0.543 0.677 0.680
51 O 0.472 0.734 0.953
52 O 0.028 0.267 0.445
53 O 0.750 0.896 0.996
54 O 0.739 0.624 0.868
55 O 0.035 0.423 0.283
56 O 0.745 0.357 0.168
57 O 0.114 0.493 0.488
58 O 0.457 0.323 0.180
59 O 0.762 0.378 0.526
60 O 0.048 0.679 0.222
61 O 0.972 0.733 0.945
62 O 0.251 0.891 0.900
63 O 0.758 0.652 0.237
64 O 0.533 0.941 0.794
65 O 0.973 0.047 0.826
66 O 0.527 0.953 0.570
67 O 0.250 0.104 0.496
68 O 0.909 0.089 0.199
69 O 0.176 0.123 0.204
70 O 0.073 0.324 0.033
71 O 0.027 0.953 0.326
72 O 0.676 0.123 0.692
73 O 0.473 0.047 0.070
74 O 0.324 0.877 0.192
75 O 0.952 0.321 0.722
76 O 0.591 0.911 0.197
77 O 0.091 0.911 0.699
78 O 0.255 0.643 0.668
79 O 0.033 0.941 0.102
80 O 0.242 0.348 0.737
81 Rb 0.272 0.173 0.938
82 Rb 0.225 0.820 0.461
83 Rb 0.775 0.180 0.961
84 Rb 0.728 0.827 0.438
85 S 0.533 0.025 0.682
86 S 0.967 0.974 0.714
87 S 0.394 0.608 0.002
88 S 0.467 0.975 0.182
89 S 0.893 0.607 0.896
90 S 0.606 0.392 0.502
91 S 0.033 0.026 0.214
92 S 0.107 0.393 0.396
93 In 0.156 0.791 0.066
94 In 0.657 0.792 0.831
95 In 0.343 0.208 0.331
96 In 0.844 0.209 0.566